1.
# ZnCu2PH7O9

Crystalline ZnCu2PH7O9 at its relaxed geometry (PBE, the Materials Project database).

Output
Size of the total moment: 0.000 μB per atom
Space group: No. 14
Formation energy: -1.50 eV per atom

a b c (Å): 7.5300 10.3493 9.8925
angles (deg): 90.00 101.91 90.00
Last column: nearest neighbours and their distance in Å.
Sites, in units of the cell vectors:
Zn 0.0665 0.0765 0.2092  4 O 1.95-1.99
Zn 0.0665 0.4235 0.7092  4 O 1.95-1.99
Zn 0.9335 0.5765 0.2908  4 O 1.95-1.99
Zn 0.9335 0.9235 0.7908  4 O 1.95-1.99
Cu 0.4545 0.2463 0.8561  4 O 1.96-2.08
Cu 0.4545 0.2537 0.3561  4 O 1.96-2.08
Cu 0.4917 0.0709 0.1319  4 O 1.96-2.01
Cu 0.4917 0.4291 0.6319  4 O 1.96-2.01
Cu 0.5083 0.5709 0.3681  4 O 1.96-2.01
Cu 0.5083 0.9291 0.8681  4 O 1.96-2.01
Cu 0.5455 0.7463 0.6439  4 O 1.96-2.08
Cu 0.5455 0.7537 0.1439  4 O 1.96-2.08
P 0.0619 0.2014 0.9131  4 O 1.55-1.56
P 0.0619 0.2986 0.4131  4 O 1.55-1.56
P 0.9381 0.7014 0.5869  4 O 1.55-1.56
P 0.9381 0.7986 0.0869  4 O 1.55-1.56
H 0.1966 0.0941 0.7104  1 O 1.00
H 0.1966 0.4059 0.2104  1 O 1.00
H 0.2316 0.6216 0.9887  1 O 0.98
H 0.2316 0.8784 0.4887  1 O 0.98
H 0.2559 0.6914 0.2173  1 O 1.00
H 0.2559 0.8086 0.7173  1 O 1.00
H 0.2695 0.6119 0.5168  1 O 1.00
H 0.2695 0.8881 0.0168  1 O 1.00
H 0.3157 0.1326 0.6017  1 O 0.98
H 0.3157 0.3674 0.1017  1 O 0.98
H 0.3449 0.6798 0.8840  1 O 1.01
H 0.3449 0.8202 0.3840  1 O 1.01
H 0.3649 0.0197 0.3467  1 O 1.00
H 0.3649 0.4803 0.8467  1 O 1.00
H 0.6351 0.5197 0.1533  1 O 1.00
H 0.6351 0.9803 0.6533  1 O 1.00
H 0.6551 0.1798 0.6160  1 O 1.01
H 0.6551 0.3202 0.1160  1 O 1.01
H 0.6843 0.6326 0.8983  1 O 0.98
H 0.6843 0.8674 0.3983  1 O 0.98
H 0.7305 0.1119 0.9832  1 O 1.00
H 0.7305 0.3881 0.4832  1 O 1.00
H 0.7441 0.1914 0.2827  1 O 1.00
H 0.7441 0.3086 0.7827  1 O 1.00
H 0.7684 0.1216 0.5113  1 O 0.98
H 0.7684 0.3784 0.0113  1 O 0.98
H 0.8034 0.5941 0.7896  1 O 1.00
H 0.8034 0.9059 0.2896  1 O 1.00
O 0.0275 0.6684 0.1444  1 P 1.56, 1 H 1.74
O 0.0275 0.8316 0.6444  1 P 1.56, 1 H 1.74
O 0.0285 0.0993 0.7951  1 P 1.56, 1 H 1.66
O 0.0285 0.4007 0.2951  1 P 1.56, 1 H 1.66
O 0.0327 0.6578 0.4693  1 P 1.55
O 0.0327 0.8422 0.9693  1 P 1.55
O 0.2692 0.2201 0.9697  1 P 1.56
O 0.2692 0.2799 0.4697  1 P 1.56
O 0.3218 0.0916 0.6919  2 H 0.98-1.00
O 0.3218 0.4084 0.1919  2 H 0.98-1.00
O 0.3346 0.0855 0.2713  1 H 1.00
O 0.3346 0.4145 0.7713  1 H 1.00
O 0.3461 0.6123 0.9581  2 H 0.98-1.01
O 0.3461 0.8877 0.4581  2 H 0.98-1.01
O 0.3792 0.7176 0.2677  1 H 1.00
O 0.3792 0.7824 0.7677  1 H 1.00
O 0.4022 0.5935 0.5369  1 H 1.00
O 0.4022 0.9065 0.0369  1 H 1.00
O 0.5978 0.0935 0.9631  1 H 1.00
O 0.5978 0.4065 0.4631  1 H 1.00
O 0.6208 0.2176 0.2323  1 H 1.00
O 0.6208 0.2824 0.7323  1 H 1.00
O 0.6539 0.1123 0.5419  2 H 0.98-1.01
O 0.6539 0.3877 0.0419  2 H 0.98-1.01
O 0.6654 0.5855 0.2287  1 H 1.00
O 0.6654 0.9145 0.7287  1 H 1.00
O 0.6782 0.5916 0.8081  2 H 0.98-1.00
O 0.6782 0.9084 0.3081  2 H 0.98-1.00
O 0.7308 0.7201 0.5303  1 P 1.56
O 0.7308 0.7799 0.0303  1 P 1.56
O 0.9673 0.1578 0.0307  1 P 1.55
O 0.9673 0.3422 0.5307  1 P 1.55
O 0.9715 0.5993 0.7049  1 P 1.56, 1 H 1.66
O 0.9715 0.9007 0.2049  1 P 1.56, 1 H 1.66
O 0.9725 0.1684 0.3556  1 P 1.56, 1 H 1.74
O 0.9725 0.3316 0.8556  1 P 1.56, 1 H 1.74

2.
# CeH2C2SNO9

Crystalline CeH2C2SNO9 at its relaxed geometry (PBE, the Materials Project database).

Output
Size of the total moment: 0.188 μB per atom
Space group: No. 14
Formation energy: -1.56 eV per atom

a b c (Å): 6.9057 8.1166 15.5960
angles (deg): 90.00 113.34 90.00
Last column: nearest neighbours and their distance in Å.
Sites, in units of the cell vectors:
Ce 0.1615 0.2226 0.4122  9 O 2.37-2.61
Ce 0.1615 0.2774 0.9122  9 O 2.37-2.61
Ce 0.8385 0.7226 0.0878  9 O 2.37-2.61
Ce 0.8385 0.7774 0.5878  9 O 2.37-2.61
H 0.2280 0.0618 0.0849  1 O 0.99
H 0.2280 0.4382 0.5849  1 O 0.99
H 0.4554 0.0743 0.0837  1 O 0.99
H 0.4554 0.4257 0.5837  1 O 0.99
H 0.5446 0.5743 0.4163  1 O 0.99
H 0.5446 0.9257 0.9163  1 O 0.99
H 0.7720 0.5618 0.4151  1 O 0.99
H 0.7720 0.9382 0.9151  1 O 0.99
C 0.0693 0.0485 0.2129  2 O 1.26-1.27
C 0.0693 0.4515 0.7129  2 O 1.26-1.27
C 0.1468 0.5425 0.2803  2 O 1.26-1.27
C 0.1468 0.9575 0.7803  2 O 1.26-1.27
C 0.8532 0.0425 0.2197  2 O 1.26-1.27
C 0.8532 0.4575 0.7197  2 O 1.26-1.27
C 0.9307 0.5485 0.2871  2 O 1.26-1.27
C 0.9307 0.9515 0.7871  2 O 1.26-1.27
S 0.2542 0.6286 0.0002  4 O 1.48-1.50
S 0.2542 0.8714 0.5002  4 O 1.48-1.50
S 0.7458 0.1286 0.4998  4 O 1.48-1.50
S 0.7458 0.3714 0.9998  4 O 1.48-1.50
N 0.4916 0.1568 0.7199  5 O 2.76-2.99, 1 H 2.99
N 0.4916 0.3432 0.2199  5 O 2.76-2.99, 1 H 2.99
N 0.5084 0.6568 0.7801  5 O 2.76-2.99, 1 H 2.99
N 0.5084 0.8432 0.2801  5 O 2.76-2.99, 1 H 2.99
O 0.0870 0.5348 0.6475  1 C 1.27
O 0.0870 0.9652 0.1475  1 C 1.27
O 0.1070 0.7374 0.0215  1 S 1.48
O 0.1070 0.7626 0.5215  1 S 1.48
O 0.1584 0.6178 0.2119  1 C 1.26
O 0.1584 0.8822 0.7119  1 C 1.26
O 0.1827 0.5967 0.8983  1 S 1.49
O 0.1827 0.9033 0.3983  1 S 1.49
O 0.2060 0.1382 0.2719  1 C 1.26
O 0.2060 0.3618 0.7719  1 C 1.26
O 0.2620 0.0386 0.5424  1 S 1.50
O 0.2620 0.4614 0.0424  1 S 1.50
O 0.2909 0.0351 0.8451  1 C 1.27
O 0.2909 0.4649 0.3451  1 C 1.27
O 0.3069 0.1069 0.0492  2 H 0.99
O 0.3069 0.3931 0.5492  2 H 0.99
O 0.4666 0.7061 0.0381  1 S 1.49
O 0.4666 0.7939 0.5381  1 S 1.49
O 0.5334 0.2061 0.4619  1 S 1.49
O 0.5334 0.2939 0.9619  1 S 1.49
O 0.6931 0.6069 0.4508  2 H 0.99
O 0.6931 0.8931 0.9508  2 H 0.99
O 0.7091 0.5351 0.6549  1 C 1.27
O 0.7091 0.9649 0.1549  1 C 1.27
O 0.7380 0.5386 0.9576  1 S 1.50
O 0.7380 0.9614 0.4576  1 S 1.50
O 0.7940 0.6382 0.2281  1 C 1.26
O 0.7940 0.8618 0.7281  1 C 1.26
O 0.8173 0.0967 0.6017  1 S 1.49
O 0.8173 0.4033 0.1017  1 S 1.49
O 0.8416 0.1178 0.2881  1 C 1.26
O 0.8416 0.3822 0.7881  1 C 1.26
O 0.8930 0.2374 0.4785  1 S 1.48
O 0.8930 0.2626 0.9785  1 S 1.48
O 0.9130 0.0348 0.8525  1 C 1.27
O 0.9130 0.4652 0.3525  1 C 1.27

3.
# SrMgO2

Crystalline SrMgO2 at its relaxed geometry (PBE, the Materials Project database).

Output
Size of the total moment: 0.000 μB per atom
Space group: No. 166
Formation energy: -2.87 eV per atom

a b c (Å): 5.8517 5.8517 5.8517
angles (deg): 33.33 33.33 33.33
Last column: nearest neighbours and their distance in Å.
Sites, in units of the cell vectors:
Sr 0.0000 0.0000 0.0000  6 O 2.50
Mg 0.5000 0.5000 0.5000  6 O 2.27
O 0.2377 0.2377 0.2377  3 Mg 2.27, 3 Sr 2.50
O 0.7623 0.7623 0.7623  3 Mg 2.27, 3 Sr 2.50

4.
# CeSe2

Crystalline CeSe2 at its relaxed geometry (PBE, the Materials Project database).

Output
Size of the total moment: 0.000 μB per atom
Space group: No. 12
Formation energy: -1.78 eV per atom

a b c (Å): 9.4093 9.4093 9.2565
angles (deg): 106.32 106.32 34.98
Last column: nearest neighbours and their distance in Å.
Sites, in units of the cell vectors:
Ce 0.1057 0.1057 0.1962  6 Se 2.76-2.98
Ce 0.2050 0.2050 0.8044  5 Se 2.69-2.90
Ce 0.7950 0.7950 0.1956  5 Se 2.69-2.90
Ce 0.8943 0.8943 0.8038  6 Se 2.76-2.98
Se 0.0595 0.0595 0.8706  3 Ce 2.85-2.88
Se 0.1314 0.1314 0.5053  2 Ce 2.69-2.76
Se 0.2623 0.2623 0.1467  4 Ce 2.90-3.03
Se 0.3612 0.3612 0.7902  3 Ce 2.84-2.89
Se 0.6388 0.6388 0.2098  3 Ce 2.84-2.89
Se 0.7377 0.7377 0.8533  4 Ce 2.90-3.03
Se 0.8686 0.8686 0.4947  2 Ce 2.69-2.76
Se 0.9405 0.9405 0.1294  3 Ce 2.85-2.88

5.
# ThPt

Crystalline ThPt at its relaxed geometry (PBE, the Materials Project database).

Output
Space group: No. 63
Formation energy: -1.21 eV per atom

a b c (Å): 5.9735 5.9735 4.4831
angles (deg): 90.00 90.00 141.55
Last column: nearest neighbours and their distance in Å.
Sites, in units of the cell vectors:
Th 0.1364 0.8636 0.7500  7 Pt 3.02-3.28
Th 0.8636 0.1364 0.2500  7 Pt 3.02-3.28
Pt 0.4038 0.5962 0.7500  7 Th 3.02-3.28, 2 Pt 3.12
Pt 0.5962 0.4038 0.2500  7 Th 3.02-3.28, 2 Pt 3.12

6.
# Th7S12

Crystalline Th7S12 at its relaxed geometry (PBE, the Materials Project database).

Output
Space group: No. 174
Formation energy: -2.31 eV per atom

a b c (Å): 11.1488 11.1488 3.9913
angles (deg): 90.00 90.00 120.00
Last column: nearest neighbours and their distance in Å.
Sites, in units of the cell vectors:
Th 0.0000 0.0000 0.0000  9 S 2.79-3.08
Th 0.1492 0.7164 0.0000  8 S 2.81-3.01
Th 0.2836 0.4328 0.0000  8 S 2.81-3.01
Th 0.4395 0.1531 0.5000  8 S 2.76-3.01
Th 0.5672 0.8508 0.0000  8 S 2.81-3.01
Th 0.7136 0.5605 0.5000  8 S 2.76-3.01
Th 0.8469 0.2864 0.5000  8 S 2.76-3.01
S 0.0052 0.7918 0.5000  5 Th 2.93-3.08, 2 S 3.26
S 0.1417 0.5228 0.5000  5 Th 2.91-3.01
S 0.2082 0.2135 0.5000  5 Th 2.93-3.08, 2 S 3.26
S 0.2526 0.0038 0.0000  4 Th 2.76-2.81
S 0.3811 0.8583 0.5000  5 Th 2.91-3.01
S 0.4772 0.6189 0.5000  5 Th 2.91-3.01
S 0.5139 0.3735 0.0000  5 Th 2.94-2.95
S 0.6265 0.1403 0.0000  5 Th 2.94-2.95
S 0.7513 0.7474 0.0000  4 Th 2.76-2.81
S 0.7865 0.9948 0.5000  5 Th 2.93-3.08, 2 S 3.26
S 0.8597 0.4861 0.0000  5 Th 2.94-2.95
S 0.9962 0.2487 0.0000  4 Th 2.76-2.81

7.
# Y3Pd

Crystalline Y3Pd at its relaxed geometry (PBE, the Materials Project database).

Output
Space group: No. 62
Formation energy: -0.47 eV per atom

a b c (Å): 7.0885 9.7309 6.5280
angles (deg): 90.00 90.00 90.00
Last column: nearest neighbours and their distance in Å.
Sites, in units of the cell vectors:
Y 0.0256 0.2500 0.1367  2 Pd 2.89-2.95
Y 0.1814 0.0593 0.6726  2 Pd 2.87-2.93
Y 0.1814 0.4407 0.6726  2 Pd 2.87-2.93
Y 0.3186 0.5593 0.1726  2 Pd 2.87-2.93
Y 0.3186 0.9407 0.1726  2 Pd 2.87-2.93
Y 0.4744 0.7500 0.6367  2 Pd 2.89-2.95
Y 0.5256 0.2500 0.3633  2 Pd 2.89-2.95
Y 0.6814 0.0593 0.8274  2 Pd 2.87-2.93
Y 0.6814 0.4407 0.8274  2 Pd 2.87-2.93
Y 0.8186 0.5593 0.3274  2 Pd 2.87-2.93
Y 0.8186 0.9407 0.3274  2 Pd 2.87-2.93
Y 0.9744 0.7500 0.8633  2 Pd 2.89-2.95
Pd 0.1114 0.7500 0.4366  6 Y 2.87-2.95
Pd 0.3886 0.2500 0.9366  6 Y 2.87-2.95
Pd 0.6114 0.7500 0.0634  6 Y 2.87-2.95
Pd 0.8886 0.2500 0.5634  6 Y 2.87-2.95